1.
{
  "formula": "Ba8Sb4H2O",
  "functional": "PBE-GGA",
  "state": "relaxed",
  "lattice": [[-2.6313, 2.6313, 18.9746], [2.6313, -2.6313, 18.9746], [2.6313, 2.6313, -18.9746]],
  "species": ["Sb", "Sb", "Sb", "Sb", "Ba", "Ba", "Ba", "Ba", "Ba", "Ba", "Ba", "Ba", "H", "H", "O"],
  "fractional_positions": [[0.8199, 0.8199, 0.0000], [0.5671, 0.5671, 0.0000], [0.1801, 0.1801, 0.0000], [0.4329, 0.4329, 0.0000], [0.0000, 0.5000, 0.5000], [0.2500, 0.7500, 0.5000], [0.5000, 0.0000, 0.5000], [0.0851, 0.0851, 0.0000], [0.7500, 0.2500, 0.5000], [0.6593, 0.6593, 0.0000], [0.9149, 0.9149, 0.0000], [0.3407, 0.3407, 0.0000], [0.2715, 0.2715, 0.0000], [0.7286, 0.7286, 0.0000], [0.0000, 0.0000, 0.0000]]
}

=====

2.
{
  "formula": "BaSiH2O4",
  "functional": "PBE-GGA",
  "state": "relaxed",
  "lattice": [[6.7571, 2.0073, -1.5689], [0.5121, -1.7054, -7.4013], [-2.8912, 6.8501, -1.9471]],
  "species": ["O", "O", "O", "O", "O", "O", "O", "O", "O", "O", "O", "O", "O", "O", "O", "O", "H", "H", "H", "H", "H", "H", "H", "H", "Si", "Si", "Si", "Si", "Ba", "Ba", "Ba", "Ba"],
  "fractional_positions": [[0.0253, 0.6661, 0.5536], [0.2629, 0.4124, 0.8607], [0.4267, 0.8286, 0.0417], [0.2053, 0.4081, 0.1931], [0.9724, 0.1639, 0.1465], [0.7240, 0.9102, 0.6305], [0.3041, 0.0847, 0.7253], [0.5733, 0.1714, 0.9583], [0.5339, 0.3256, 0.6425], [0.7371, 0.5876, 0.1393], [0.6959, 0.9153, 0.2747], [0.4661, 0.6744, 0.3575], [0.9747, 0.3339, 0.4464], [0.0276, 0.8361, 0.8535], [0.2760, 0.0898, 0.3695], [0.7947, 0.5919, 0.8069], [0.6094, 0.0490, 0.0086], [0.9467, 0.6083, 0.4759], [0.2894, 0.0890, 0.5007], [0.2360, 0.4086, 0.9904], [0.3906, 0.9510, 0.9914], [0.0533, 0.3917, 0.5241], [0.7640, 0.5914, 0.0096], [0.7106, 0.9110, 0.4993], [0.8933, 0.7459, 0.7273], [0.5830, 0.7613, 0.2180], [0.1067, 0.2541, 0.2727], [0.4170, 0.2387, 0.7820], [0.5902, 0.2994, 0.3042], [0.9150, 0.2109, 0.8044], [0.4098, 0.7006, 0.6958], [0.0850, 0.7891, 0.1956]],
  "polymorph_energy_mev_per_atom": 13.5
}

=====

3.
{
  "formula": "BaSi2H6O8",
  "functional": "PBE-GGA",
  "state": "relaxed",
  "lattice": [[10.7499, 0.0000, 0.0000], [0.0000, 7.9319, 0.0000], [0.0000, 0.7512, 8.5234]],
  "species": ["H", "H", "H", "H", "H", "H", "H", "H", "H", "H", "H", "H", "H", "H", "H", "H", "H", "H", "H", "H", "H", "H", "H", "H", "O", "O", "O", "O", "O", "O", "O", "O", "O", "O", "O", "O", "O", "O", "O", "O", "O", "O", "O", "O", "O", "O", "O", "O", "O", "O", "O", "O", "O", "O", "O", "O", "Ba", "Ba", "Ba", "Ba", "Si", "Si", "Si", "Si", "Si", "Si", "Si", "Si"],
  "fractional_positions": [[0.6725, 0.1837, 0.7649], [0.5660, 0.4131, 0.8397], [0.0660, 0.5869, 0.6603], [0.8588, 0.0651, 0.7743], [0.0367, 0.1653, 0.5038], [0.5367, 0.8347, 0.9962], [0.6412, 0.0651, 0.2743], [0.3588, 0.9349, 0.7257], [0.6126, 0.0046, 0.9534], [0.8874, 0.0046, 0.4534], [0.9633, 0.8347, 0.4962], [0.9340, 0.4131, 0.3397], [0.1725, 0.8163, 0.7351], [0.4340, 0.5869, 0.1603], [0.1412, 0.9349, 0.2257], [0.0882, 0.1184, 0.1940], [0.4118, 0.1184, 0.6940], [0.9118, 0.8816, 0.8060], [0.3874, 0.9954, 0.0466], [0.1126, 0.9954, 0.5466], [0.8275, 0.1837, 0.2649], [0.5882, 0.8816, 0.3060], [0.4633, 0.1653, 0.0038], [0.3275, 0.8163, 0.2351], [0.1530, 0.3056, 0.1786], [0.3470, 0.3056, 0.6786], [0.2102, 0.5345, 0.3723], [0.9265, 0.0023, 0.8308], [0.8697, 0.2345, 0.4299], [0.6180, 0.8792, 0.9575], [0.5285, 0.5154, 0.7789], [0.1303, 0.7655, 0.5701], [0.7108, 0.1447, 0.6636], [0.1345, 0.6421, 0.0809], [0.7102, 0.4655, 0.1277], [0.6345, 0.3579, 0.4191], [0.4265, 0.9977, 0.6692], [0.3820, 0.1208, 0.0425], [0.2892, 0.8553, 0.3364], [0.2108, 0.8553, 0.8364], [0.8655, 0.3579, 0.9191], [0.3655, 0.6421, 0.5809], [0.6303, 0.2345, 0.9299], [0.5735, 0.0023, 0.3308], [0.4715, 0.4846, 0.2211], [0.3697, 0.7655, 0.0701], [0.7898, 0.4655, 0.6277], [0.9715, 0.5154, 0.2789], [0.7892, 0.1447, 0.1636], [0.1180, 0.1208, 0.5425], [0.8820, 0.8792, 0.4575], [0.0285, 0.4846, 0.7211], [0.8470, 0.6944, 0.8214], [0.6530, 0.6944, 0.3214], [0.0735, 0.9977, 0.1692], [0.2898, 0.5345, 0.8723], [0.8526, 0.7968, 0.1258], [0.1474, 0.2032, 0.8742], [0.6474, 0.7968, 0.6258], [0.3526, 0.2032, 0.3742], [0.6175, 0.5103, 0.2743], [0.7450, 0.2996, 0.0321], [0.1175, 0.4897, 0.2257], [0.7550, 0.2996, 0.5321], [0.2550, 0.7004, 0.9679], [0.8825, 0.5103, 0.7743], [0.2450, 0.7004, 0.4679], [0.3825, 0.4897, 0.7257]]
}

=====

4.
{
  "formula": "BaSiH2O4",
  "functional": "PBE-GGA",
  "state": "relaxed",
  "lattice": [[-6.9575, 1.7799, 0.4844], [-1.2566, -0.6554, 7.4201], [1.9156, 7.3951, 0.9889]],
  "species": ["H", "H", "H", "H", "H", "H", "H", "H", "Si", "Si", "Si", "Si", "Ba", "Ba", "Ba", "Ba", "O", "O", "O", "O", "O", "O", "O", "O", "O", "O", "O", "O", "O", "O", "O", "O"],
  "fractional_positions": [[0.7732, 0.5842, 0.0098], [0.2734, 0.0980, 0.4908], [0.2268, 0.4158, 0.9902], [0.9025, 0.4670, 0.4337], [0.7266, 0.9020, 0.5092], [0.0975, 0.5330, 0.5663], [0.4058, 0.9653, 0.0786], [0.5942, 0.0347, 0.9214], [0.9055, 0.7436, 0.7356], [0.4050, 0.2516, 0.7643], [0.5950, 0.7484, 0.2357], [0.0945, 0.2564, 0.2644], [0.0834, 0.7865, 0.2049], [0.9166, 0.2135, 0.7951], [0.4141, 0.7180, 0.7052], [0.5859, 0.2820, 0.2948], [0.7454, 0.9092, 0.6425], [0.5432, 0.1631, 0.9381], [0.2546, 0.0908, 0.3575], [0.9560, 0.3376, 0.4414], [0.2943, 0.1012, 0.6898], [0.4568, 0.8369, 0.0619], [0.2509, 0.4220, 0.8574], [0.2008, 0.4094, 0.1877], [0.7057, 0.8988, 0.3102], [0.7992, 0.5906, 0.8123], [0.0440, 0.6624, 0.5586], [0.5338, 0.3402, 0.6323], [0.4662, 0.6598, 0.3677], [0.7491, 0.5780, 0.1426], [0.9689, 0.1619, 0.1357], [0.0311, 0.8381, 0.8643]],
  "polymorph_energy_mev_per_atom": 0.0
}

=====

5.
{
  "formula": "BaSn2H2O4",
  "functional": "PBE-GGA",
  "state": "relaxed",
  "lattice": [[5.8941, 0.0000, 0.0000], [0.0000, 7.3091, 0.0000], [0.0000, 2.3850, 7.2845]],
  "species": ["Ba", "Ba", "H", "H", "H", "H", "O", "O", "O", "O", "O", "O", "O", "O", "Sn", "Sn", "Sn", "Sn"],
  "fractional_positions": [[0.9942, 0.8107, 0.4318], [0.4942, 0.1893, 0.5682], [0.5022, 0.7091, 0.2129], [0.0022, 0.2909, 0.7871], [0.5060, 0.6327, 0.5202], [0.0060, 0.3674, 0.4798], [0.2501, 0.1408, 0.2772], [0.5200, 0.5298, 0.6401], [0.7501, 0.8592, 0.7228], [0.0200, 0.4702, 0.3599], [0.2510, 0.8503, 0.7213], [0.5090, 0.7932, 0.2909], [0.7510, 0.1497, 0.2787], [0.0090, 0.2068, 0.7091], [0.5040, 0.6521, 0.8539], [0.5034, 0.0881, 0.1113], [0.0040, 0.3479, 0.1461], [0.0034, 0.9119, 0.8887]],
  "e_ij_max_c_m2": 0.3
}

=====

6.
{
  "formula": "BaSnH6O6",
  "functional": "PBE-GGA",
  "state": "relaxed",
  "lattice": [[-1.4646, -5.0592, -3.7690], [6.3752, -5.3002, 4.6371], [-3.3345, -5.7343, 8.9931]],
  "species": ["H", "H", "H", "H", "H", "H", "H", "H", "H", "H", "H", "H", "H", "H", "H", "H", "H", "H", "H", "H", "H", "H", "H", "H", "Sn", "Sn", "Sn", "Sn", "O", "O", "O", "O", "O", "O", "O", "O", "O", "O", "O", "O", "O", "O", "O", "O", "O", "O", "O", "O", "O", "O", "O", "O", "Ba", "Ba", "Ba", "Ba"],
  "fractional_positions": [[0.2284, 0.8160, 0.9676], [0.7716, 0.1840, 0.0324], [0.2798, 0.2619, 0.5364], [0.5145, 0.1303, 0.7364], [0.7284, 0.1840, 0.5324], [0.8344, 0.5139, 0.2014], [0.6287, 0.4178, 0.9689], [0.3713, 0.5822, 0.0311], [0.0698, 0.3094, 0.3426], [0.3344, 0.4861, 0.2986], [0.2202, 0.2619, 0.0364], [0.0145, 0.8697, 0.7636], [0.8713, 0.4178, 0.4689], [0.7798, 0.7381, 0.9636], [0.4302, 0.3094, 0.8426], [0.9855, 0.1303, 0.2364], [0.5698, 0.6906, 0.1574], [0.6656, 0.5139, 0.7014], [0.1656, 0.4861, 0.7986], [0.2716, 0.8160, 0.4676], [0.9302, 0.6906, 0.6574], [0.1287, 0.5822, 0.5311], [0.7202, 0.7381, 0.4636], [0.4855, 0.8697, 0.2636], [0.5000, 0.0000, 0.0000], [0.0000, 0.5000, 0.0000], [0.5000, 0.5000, 0.5000], [0.0000, 0.0000, 0.5000], [0.6487, 0.7775, 0.0817], [0.8401, 0.7123, 0.8942], [0.9034, 0.0403, 0.3075], [0.1599, 0.2877, 0.1058], [0.2114, 0.9095, 0.9836], [0.3401, 0.2877, 0.6058], [0.5966, 0.0403, 0.8075], [0.8513, 0.7775, 0.5817], [0.2886, 0.9095, 0.4836], [0.4034, 0.9597, 0.1925], [0.3513, 0.2225, 0.9183], [0.2197, 0.6328, 0.4524], [0.9829, 0.5054, 0.1889], [0.2803, 0.6328, 0.9524], [0.6599, 0.7123, 0.3942], [0.5171, 0.5054, 0.6889], [0.4829, 0.4946, 0.3111], [0.7197, 0.3672, 0.0476], [0.7114, 0.0905, 0.5164], [0.7803, 0.3672, 0.5476], [0.0171, 0.4946, 0.8111], [0.0966, 0.9597, 0.6925], [0.7886, 0.0905, 0.0164], [0.1487, 0.2225, 0.4183], [0.4941, 0.1782, 0.2824], [0.0059, 0.1782, 0.7824], [0.5059, 0.8218, 0.7176], [0.9941, 0.8218, 0.2176]]
}

=====

no.,DFT formation energy (meV per atom),total DFT energy (no corrections) (Ry per atom)
1,-1200,-0.298
2,-2555,-0.474
3,-2245,-0.456
4,-2568,-0.475
5,-1907,-0.416
6,-1766,-0.402